Entry 1:
GGA+U NaLi2Mo2P3O14, optimized geometry; V = 1132.5 Å³ per cell; DFT total energy = -6.879 eV per atom
1.0
4.125 7.991 0.000
-4.125 7.991 0.000
0.000 5.596 17.179
O Na P Mo Li
56 4 12 8 8
Cartesian
2.705 6.871 4.555 O
-3.521 7.620 2.095 O
-0.649 7.825 11.539 O
3.521 10.418 10.684 O
-0.586 2.057 0.081 O
-0.586 16.723 8.509 O
-2.554 11.028 0.872 O
-0.975 12.395 9.104 O
-2.913 10.440 3.532 O
-1.669 5.442 2.029 O
-1.669 13.337 6.561 O
0.975 9.182 8.075 O
-0.692 8.173 1.811 O
2.554 13.826 9.461 O
0.975 9.598 0.515 O
1.497 10.092 5.720 O
-2.913 8.340 5.057 O
0.586 4.855 8.670 O
-2.532 14.338 16.888 O
-1.132 5.545 6.967 O
-0.692 10.606 6.779 O
1.132 8.343 15.557 O
-0.894 12.369 4.322 O
-0.975 11.980 16.664 O
-2.554 7.752 7.718 O
-3.521 11.159 6.495 O
-0.164 8.235 6.030 O
-1.497 11.485 11.459 O
-2.705 9.669 13.145 O
0.649 13.752 5.640 O
0.649 5.028 2.949 O
1.669 16.135 15.150 O
-1.132 13.234 1.622 O
-0.649 16.550 14.230 O
-0.894 6.411 4.268 O
1.669 8.240 10.618 O
0.692 13.404 15.368 O
0.894 9.208 12.857 O
1.132 16.032 10.212 O
2.554 10.549 16.307 O
2.532 7.239 0.291 O
0.164 13.343 11.149 O
0.692 10.971 10.400 O
-0.164 10.545 2.560 O
-1.497 12.890 14.310 O
0.164 11.033 14.619 O
2.532 11.540 8.299 O
2.913 11.138 13.647 O
-2.532 10.037 8.880 O
0.894 15.167 12.911 O
-2.705 14.706 12.624 O
2.913 13.237 12.122 O
1.497 8.687 2.869 O
3.521 13.957 15.084 O
2.705 11.909 4.034 O
0.586 19.520 17.098 O
-2.063 3.995 0.000 Na
2.063 6.793 8.589 Na
-3.354 12.188 12.884 Na
3.354 9.390 4.295 Na
-0.433 12.035 10.504 P
-0.939 13.816 0.201 P
-0.846 5.143 3.332 P
0.846 7.941 11.921 P
0.433 9.237 1.915 P
0.433 9.542 6.675 P
0.846 16.434 13.847 P
-0.433 12.340 15.264 P
-0.939 4.963 8.388 P
0.939 7.761 16.978 P
0.939 16.614 8.791 P
-0.846 13.636 5.258 P
2.228 9.974 9.621 Mo
-1.959 7.170 5.858 Mo
-2.228 7.176 1.031 Mo
1.959 9.968 14.447 Mo
2.228 14.401 16.148 Mo
1.959 14.407 11.321 Mo
-1.959 11.609 2.732 Mo
-2.228 11.604 7.558 Mo
2.721 11.641 6.089 Li
0.841 11.265 4.175 Li
0.841 7.514 4.415 Li
-0.841 10.312 13.004 Li
-2.721 9.937 11.090 Li
-0.841 14.063 12.764 Li
2.721 7.139 2.501 Li
-2.721 14.438 14.678 Li

***

Entry 2:
GGA+U Sr2MgNiIrO6, optimized geometry; ΔE to the lowest computed polymorph = 13 meV/atom; V = 145.6 Å³ per cell
1.0
4.248 2.304 4.776
2.812 -0.011 -5.258
-4.620 2.363 -0.821
O Sr Ni Mg Ir
6 2 1 1 1
Cartesian
0.735 3.723 -2.007 O
3.014 3.135 -0.114 O
-0.575 1.522 -1.189 O
1.705 0.934 0.704 O
-0.066 3.540 0.631 O
2.506 1.117 -1.934 O
1.643 2.990 2.380 Sr
0.796 1.667 -3.683 Sr
0.000 0.000 0.000 Ni
1.220 2.328 -0.651 Mg
3.530 1.147 -0.241 Ir

***

Entry 3:
GGA+U Ti3VO8, optimized geometry; V = 276.3 Å³ per cell; DFT total energy = -8.562 eV per atom
1.0
2.975 -5.153 0.000
2.975 5.153 0.000
0.000 0.000 9.009
Ti O V
6 16 2
Cartesian
4.462 -0.860 6.390 Ti
2.975 -3.434 6.390 Ti
1.489 -0.860 6.390 Ti
1.489 0.860 1.886 Ti
4.462 0.860 1.886 Ti
2.975 3.434 1.886 Ti
0.000 0.000 7.319 O
2.975 -0.255 7.562 O
2.975 0.255 3.058 O
0.000 0.000 2.814 O
1.515 -0.875 0.942 O
2.975 3.404 5.446 O
2.975 -1.718 5.388 O
4.436 0.875 5.446 O
4.242 2.449 3.058 O
1.709 2.449 3.058 O
2.975 -3.404 0.942 O
2.975 1.718 0.883 O
1.709 -2.449 7.562 O
4.242 -2.449 7.562 O
4.436 -0.875 0.942 O
1.515 0.875 5.446 O
2.975 -1.718 8.878 V
2.975 1.718 4.373 V

***

Entry 4:
GGA+U Li3MnP2O8, optimized geometry; ΔE to the lowest computed polymorph = 0 meV/atom; V = 580.1 Å³ per cell
1.0
5.620 -5.119 1.137
-4.288 -0.562 6.307
-5.246 -9.718 -0.883
O Mn P Li
32 4 8 12
Cartesian
2.212 -5.845 2.770 O
-0.610 -7.061 1.770 O
-1.100 -7.280 5.239 O
-1.027 -9.568 3.166 O
1.707 -6.309 5.287 O
-4.957 -11.931 4.996 O
-5.981 -7.289 5.751 O
-2.966 -13.681 3.552 O
-1.766 -4.439 1.517 O
1.793 -8.658 3.730 O
1.042 -3.469 1.565 O
-0.564 -2.153 -0.017 O
-0.949 -1.719 3.008 O
1.649 -10.617 2.206 O
-2.888 -5.832 3.395 O
-0.754 -9.020 0.247 O
-5.708 -6.741 2.832 O
-6.127 -9.554 3.791 O
-3.161 -6.380 6.314 O
-3.632 -10.840 -0.170 O
-2.149 -10.960 5.044 O
-2.814 -8.120 1.322 O
-1.173 -11.833 1.206 O
-4.016 -10.406 2.856 O
-5.622 -9.090 1.274 O
-3.305 -8.338 4.791 O
-0.283 -4.559 6.731 O
-2.742 -3.567 5.355 O
-5.564 -4.782 4.355 O
0.101 -4.993 3.705 O
2.066 -8.110 0.810 O
-3.351 -13.247 6.578 O
-4.161 -10.092 4.882 Mn
0.912 -8.147 5.402 Mn
-4.826 -7.252 1.160 Mn
0.246 -5.307 1.679 Mn
-3.064 -4.877 2.233 P
0.947 -2.458 0.368 P
-1.517 -7.682 0.606 P
-4.862 -12.941 6.193 P
-2.398 -7.718 5.955 P
1.613 -5.298 4.090 P
-0.851 -10.522 4.328 P
-5.528 -10.101 2.471 P
-2.103 -13.698 1.546 Li
-4.580 -12.559 2.839 Li
-4.434 -6.560 4.573 Li
-2.445 -10.253 1.428 Li
1.331 -5.681 7.444 Li
-1.292 -10.540 7.003 Li
-1.811 -1.701 5.014 Li
0.519 -8.839 1.988 Li
-1.469 -5.147 5.133 Li
-1.780 -13.093 5.150 Li
-1.957 -7.700 3.281 Li
-2.135 -2.306 1.411 Li

***

Entry 5:
GGA+U CsNiO2, optimized geometry; V = 154.7 Å³ per cell; DFT total energy = -4.202 eV per atom
1.0
0.386 -5.694 -1.933
-3.152 -4.336 2.751
-4.685 -2.556 -2.797
O Cs Ni
4 2 2
Cartesian
-3.274 -2.851 -1.646 O
-0.739 -4.420 -1.214 O
-2.507 -3.741 1.128 O
-0.931 -1.573 -0.247 O
-3.726 -6.293 -0.990 Cs
-5.588 -9.439 -1.484 Cs
0.000 0.000 0.000 Ni
-1.863 -3.146 -0.495 Ni

***

Entry 6:
GGA+U Ca4Zn3FeSi8O24, optimized geometry; V = 464.7 Å³ per cell; DFT total energy = -7.119 eV per atom
1.0
5.319 0.000 0.000
-1.361 6.617 0.000
-2.605 -0.670 13.203
Ca O Zn Si Fe
4 24 3 8 1
Cartesian
3.988 1.875 1.971 Ca
0.030 1.540 8.569 Ca
-2.635 4.072 11.231 Ca
1.327 4.404 4.630 Ca
3.034 2.211 4.416 O
1.731 1.644 10.774 O
0.565 2.554 0.755 O
-0.471 6.025 7.972 O
-2.151 -0.419 11.842 O
3.504 6.365 1.361 O
-0.740 5.321 10.619 O
-0.928 1.876 11.017 O
-0.378 4.303 2.429 O
0.376 1.980 4.170 O
0.508 0.704 13.020 O
-1.682 3.734 8.789 O
1.815 -0.084 5.236 O
3.222 5.656 4.015 O
2.281 4.071 2.186 O
1.921 2.226 7.361 O
-1.875 0.295 9.191 O
2.093 0.626 2.584 O
-0.568 3.731 5.845 O
0.845 5.243 0.182 O
2.203 4.901 6.778 O
0.979 3.970 9.032 O
-0.837 1.045 6.412 O
0.789 3.393 12.447 O
0.024 5.352 12.577 Zn
1.329 0.595 0.625 Zn
-1.334 5.688 5.979 Zn
0.498 1.902 11.923 Si
-2.161 0.742 10.707 Si
-0.857 2.240 5.319 Si
-0.450 4.868 9.104 Si
1.800 1.076 4.098 Si
3.515 5.207 2.501 Si
0.856 4.045 1.280 Si
2.213 3.713 7.882 Si
2.687 0.254 7.224 Fe

***

Entry 7:
GGA+U Ca3CoO6, optimized geometry; ΔE to the lowest computed polymorph = 2 meV/atom; V = 257.3 Å³ per cell
1.0
0.240 0.251 6.342
6.346 0.268 -0.042
-0.028 6.388 -0.043
Ca O Co
6 12 2
Cartesian
3.856 5.947 1.528 Ca
4.776 2.778 0.611 Ca
0.730 4.902 2.475 Ca
5.843 1.991 3.781 Ca
1.767 4.134 5.653 Ca
2.688 0.944 4.733 Ca
2.742 3.818 1.363 O
0.586 6.121 4.550 O
3.853 3.117 4.897 O
0.649 2.022 5.881 O
3.734 1.647 2.659 O
5.990 0.815 1.718 O
5.012 3.942 2.683 O
4.767 0.892 5.834 O
1.710 6.078 0.457 O
5.855 4.921 0.357 O
1.589 2.909 3.558 O
2.871 5.187 3.612 O
6.575 0.524 6.273 Co
3.288 3.445 3.107 Co

***

Entry 8:
GGA+U Rb2LiFeMo3O12, optimized geometry; V = 1292.5 Å³ per cell; DFT total energy = -6.517 eV per atom
1.0
5.951 0.000 0.000
0.000 8.682 0.000
0.000 0.000 25.016
O Rb Mo Fe Li
48 8 12 4 4
Cartesian
1.488 5.364 22.347 O
2.948 5.227 9.965 O
4.463 3.172 8.478 O
4.463 2.396 5.524 O
1.488 7.660 9.839 O
4.463 0.032 0.304 O
0.028 5.227 9.965 O
2.990 2.498 0.243 O
4.463 4.309 12.812 O
4.463 1.945 18.032 O
3.003 0.886 2.543 O
0.028 7.797 22.473 O
2.937 0.462 7.721 O
4.463 6.528 2.204 O
4.463 1.022 15.178 O
2.961 6.839 12.265 O
5.936 2.498 0.243 O
5.923 3.456 15.051 O
5.923 0.886 2.543 O
3.003 3.456 15.051 O
1.488 7.513 4.030 O
0.015 6.839 12.265 O
1.488 2.778 17.406 O
3.014 4.803 4.787 O
1.488 8.650 24.712 O
2.990 1.843 12.751 O
4.463 3.319 2.669 O
4.463 5.905 7.611 O
5.912 4.803 4.787 O
5.912 8.221 17.295 O
4.463 6.495 14.712 O
1.488 4.374 12.204 O
1.488 6.286 19.492 O
3.014 8.221 17.295 O
0.039 0.462 7.721 O
0.039 3.879 20.229 O
5.936 1.843 12.751 O
1.488 6.737 6.984 O
0.015 6.184 24.773 O
1.488 2.154 22.812 O
2.937 3.879 20.229 O
2.948 7.797 22.473 O
4.463 1.169 20.986 O
1.488 5.510 16.539 O
4.463 7.119 20.119 O
2.961 6.184 24.773 O
1.488 2.187 10.304 O
1.488 1.564 4.897 O
1.488 8.260 14.538 Rb
4.463 5.417 17.773 Rb
4.463 7.606 5.265 Rb
4.463 0.422 10.478 Rb
1.488 3.265 7.243 Rb
1.488 4.763 2.030 Rb
1.488 1.076 19.752 Rb
4.463 3.919 22.986 Rb
1.488 3.804 15.988 Mo
1.488 8.150 8.061 Mo
4.463 8.145 21.536 Mo
1.488 2.593 12.006 Mo
1.488 1.748 24.514 Mo
1.488 4.874 20.569 Mo
4.463 6.934 0.502 Mo
4.463 4.879 9.028 Mo
4.463 3.809 4.447 Mo
1.488 0.538 3.480 Mo
4.463 6.089 13.010 Mo
4.463 0.533 16.955 Mo
4.463 1.724 1.472 Fe
4.463 2.618 13.980 Fe
1.488 6.065 11.037 Fe
1.488 6.959 23.545 Fe
1.488 7.067 17.705 Li
1.488 5.956 5.197 Li
4.463 1.615 7.311 Li
4.463 2.726 19.819 Li

***

no.,spin magnetization (μB per cell)
1,8.00
2,1.00
3,2.00
4,16.00
5,6.00
6,4.00
7,5.99
8,20.00